K2NaCeF6 | PBE-GGA | relaxed

a = 9.1193 Å, b = 9.1193 Å, c = 9.1193 Å
α = 90.00°, β = 90.00°, γ = 90.00°
Space group Fm-3m (No. 225)
One atom of each set of equivalent atoms:
K  0.2500  0.2500  0.2500 x8
Na  0.0000  0.0000  0.0000 x4
Ce  0.0000  0.0000  0.5000 x4
F  0.0000  0.0000  0.2498 x24

Output
The raw total energy comes out at -211.39 eV/cell.



Sr5Mg | PBE-GGA | relaxed

a = 7.1005 Å, b = 7.1005 Å, c = 6.6667 Å
α = 90.00°, β = 90.00°, γ = 120.00°
Space group P-62m (No. 189)
One atom of each set of equivalent atoms:
Sr  0.0000  0.6826  0.0000 x3
Sr  0.3333  0.6667  0.5000 x2
Mg  0.0000  0.0000  0.5000 x1

Output
The calculation puts the distance to the lowest polymorph of the same formula at 15 meV/atom.



SmMg2Mo3S8 | PBE-GGA | relaxed

a = 7.5878 Å, b = 7.5878 Å, c = 18.4038 Å
α = 90.00°, β = 90.00°, γ = 120.00°
Space group R-3m (No. 166, hexagonal axes)
One atom of each set of equivalent atoms:
Sm  0.0000  0.0000  0.0000 x3
Mg  0.0000  0.0000  0.3762 x6
Mo  0.0000  0.5000  0.5000 x9
S  0.0000  0.0000  0.2382 x6
S  0.0105  0.5053  0.7618 x18

Output
The raw total energy comes out at -257.46 eV/cell.



CoP3H33C11I | PBE-GGA | relaxed

a = 9.4218 Å, b = 16.8308 Å, c = 14.5557 Å
α = 90.00°, β = 90.76°, γ = 90.00°
Space group P2_1/c (No. 14)
One atom of each set of equivalent atoms:
Co  0.2355  0.0509  0.2059 x4
P  0.2029  0.5396  0.8197 x4
P  0.2064  0.1480  0.0962 x4
P  0.4689  0.0864  0.2464 x4
H  0.0243  0.6072  0.9113 x4
H  0.0291  0.2303  0.0204 x4
H  0.0321  0.0095  0.6205 x4
H  0.0332  0.6308  0.4703 x4
H  0.0333  0.6939  0.3714 x4
H  0.0399  0.0183  0.0815 x4
H  0.0410  0.0886  0.7022 x4
H  0.0409  0.5320  0.3090 x4
H  0.0467  0.5588  0.6620 x4
H  0.2106  0.6700  0.7445 x4
H  0.2128  0.2202  0.6648 x4
H  0.2243  0.0750  0.9511 x4
H  0.2257  0.0319  0.4643 x4
H  0.2395  0.5717  0.5965 x4
H  0.2422  0.1796  0.9346 x4
H  0.2478  0.6773  0.8644 x4
H  0.2593  0.5721  0.9794 x4
H  0.2746  0.2186  0.5491 x4
H  0.3005  0.6251  0.3163 x4
H  0.3058  0.5327  0.1941 x4
H  0.3590  0.0019  0.0576 x4
H  0.3813  0.6424  0.7881 x4
H  0.3815  0.6788  0.1643 x4
H  0.3880  0.1230  0.9793 x4
H  0.3880  0.2476  0.1404 x4
H  0.3920  0.5091  0.9320 x4
H  0.3937  0.0364  0.7674 x4
H  0.4076  0.5613  0.6512 x4
H  0.4127  0.5842  0.4036 x4
H  0.4382  0.6837  0.3653 x4
H  0.4406  0.2154  0.3214 x4
H  0.4508  0.0240  0.6523 x4
H  0.4769  0.1400  0.4030 x4
C  0.0205  0.5635  0.8552 x4
C  0.0237  0.1783  0.0659 x4
C  0.0503  0.0063  0.1554 x4
C  0.2672  0.6420  0.8024 x4
C  0.2720  0.1293  0.9793 x4
C  0.2783  0.2489  0.1147 x4
C  0.2777  0.5204  0.9351 x4
C  0.3199  0.5282  0.6192 x4
C  0.4098  0.5070  0.2124 x4
C  0.4101  0.6234  0.3435 x4
C  0.4946  0.6624  0.1650 x4
I  0.1009  0.1549  0.3206 x4

Output
The raw total energy comes out at -987.72 eV/cell.